Compound: BaMgC2O6
Source: the Materials Project database
Functional: GGA-PBE
Structure: relaxed

Summary:
As for the total magnetic moment: 0.0 μB per formula unit. The value obtained for the density is 3.71 Mg/m³. As for the uncorrected energy: -7.32 eV per atom. The calculation puts the volume at 12.59 Å³ per atom.

CIF file:
```
data_BaMgC2O6
_space_group_name_H-M_alt 'R -3 c'
_space_group_IT_number 167
_space_group_name_Hall '-R 3 2"c'
_cell_length_a 5.0940
_cell_length_b 5.0940
_cell_length_c 33.6196
_cell_angle_alpha 90.00
_cell_angle_beta 90.00
_cell_angle_gamma 120.00
loop_
_atom_site_label
_atom_site_type_symbol
_atom_site_fract_x
_atom_site_fract_y
_atom_site_fract_z
Ba1 Ba 0.0000 0.0000 0.2500
Mg1 Mg 0.0000 0.0000 0.0000
C1 C 0.0000 0.0000 0.1300
O1 O 0.0410 0.4914 0.2956
```


Compound: BaC4N6
Source: the Materials Project database
Functional: GGA-PBE
Structure: relaxed

Summary:
As for the total magnetic moment: 0.0 μB per formula unit. The value obtained for the density is 2.22 Mg/m³. As for the uncorrected energy: -7.67 eV per atom. The calculation puts the volume at 18.36 Å³ per atom.

CIF file:
```
data_BaC4N6
_space_group_name_H-M_alt 'P n m a'
_space_group_IT_number 62
_cell_length_a 16.094
_cell_length_b 4.331
_cell_length_c 11.591
_cell_angle_alpha 90.00
_cell_angle_beta 90.00
_cell_angle_gamma 90.00
loop_
_space_group_symop_operation_xyz
'x,y,z'
'-x,-y,-z'
'-x+1/2,-y,z+1/2'
'x+1/2,y,-z+1/2'
'x+1/2,-y+1/2,-z+1/2'
'-x+1/2,y+1/2,z+1/2'
'-x,y+1/2,-z'
'x,-y+1/2,z'
loop_
_atom_site_label
_atom_site_type_symbol
_atom_site_fract_x
_atom_site_fract_y
_atom_site_fract_z
Ba1 Ba 0.214 0.250 0.131
C1 C 0.044 0.250 0.869
C2 C 0.062 0.750 0.749
C3 C 0.065 0.250 0.374
C4 C 0.178 0.250 0.838
N1 N 0.003 0.750 0.684
N2 N 0.031 0.750 0.111
N3 N 0.106 0.750 0.124
N4 N 0.122 0.250 0.917
N5 N 0.126 0.250 0.431
N6 N 0.233 0.250 0.768
```


Compound: Ba5C2N6
Source: the Materials Project database
Functional: GGA-PBE
Structure: relaxed

Summary:
As for the total magnetic moment: 0.0 μB per formula unit. The value obtained for the density is 5.22 Mg/m³. As for the uncorrected energy: -6.47 eV per atom. The calculation puts the volume at 19.46 Å³ per atom.

CIF file:
```
data_Ba5C2N6
_space_group_name_H-M_alt 'C 1 2/c 1'
_space_group_IT_number 15
_cell_length_a 9.856
_cell_length_b 7.271
_cell_length_c 14.121
_cell_angle_alpha 90.00
_cell_angle_beta 90.36
_cell_angle_gamma 90.00
loop_
_space_group_symop_operation_xyz
'x,y,z'
'-x,-y,-z'
'-x,y,-z+1/2'
'x,-y,z+1/2'
'x+1/2,y+1/2,z'
'-x+1/2,-y+1/2,-z'
'-x+1/2,y+1/2,-z+1/2'
'x+1/2,-y+1/2,z+1/2'
loop_
_atom_site_label
_atom_site_type_symbol
_atom_site_fract_x
_atom_site_fract_y
_atom_site_fract_z
Ba1 Ba 0.000 0.168 0.250
Ba2 Ba 0.037 0.239 0.997
Ba3 Ba 0.173 0.392 0.682
C1 C 0.221 0.472 0.408
N1 N 0.098 0.443 0.359
N2 N 0.159 0.018 0.644
N3 N 0.221 0.491 0.505
```


Compound: BaC7N10
Source: the Materials Project database
Functional: GGA-PBE
Structure: relaxed

Summary:
As for the total magnetic moment: 0.0 μB per formula unit. The value obtained for the density is 4.46 Mg/m³. As for the uncorrected energy: -7.95 eV per atom. The calculation puts the volume at 7.48 Å³ per atom.

CIF file:
```
data_BaC7N10
_space_group_name_H-M_alt 'P 1 c 1'
_space_group_IT_number 7
_cell_length_a 5.916
_cell_length_b 5.731
_cell_length_c 8.286
_cell_angle_alpha 90.00
_cell_angle_beta 106.65
_cell_angle_gamma 90.00
loop_
_space_group_symop_operation_xyz
'x,y,z'
'x,-y,z+1/2'
loop_
_atom_site_label
_atom_site_type_symbol
_atom_site_fract_x
_atom_site_fract_y
_atom_site_fract_z
Ba1 Ba 0.000 0.124 0.000
C1 C 0.157 0.386 0.401
C2 C 0.341 0.377 0.714
C3 C 0.405 0.031 0.348
C4 C 0.526 0.379 0.014
C5 C 0.581 0.026 0.655
C6 C 0.706 0.366 0.316
C7 C 0.880 0.367 0.640
N1 N 0.123 0.412 0.766
N2 N 0.209 0.172 0.341
N3 N 0.329 0.494 0.553
N4 N 0.366 0.127 0.697
N5 N 0.491 0.116 0.003
N6 N 0.540 0.461 0.850
N7 N 0.614 0.129 0.302
N8 N 0.744 0.416 0.150
N9 N 0.785 0.160 0.664
N10 N 0.926 0.395 0.449
```


Compound: Ba3CN3
Source: the Materials Project database
Functional: GGA-PBE
Structure: relaxed

Summary:
As for the total magnetic moment: 0.0 μB per formula unit. The value obtained for the density is 4.68 Mg/m³. As for the uncorrected energy: -6.18 eV per atom. The calculation puts the volume at 23.62 Å³ per atom.

CIF file:
```
data_Ba3CN3
_space_group_name_H-M_alt 'P 63/m'
_space_group_IT_number 176
_space_group_name_Hall '-P 6c'
_cell_length_a 8.8800
_cell_length_b 8.8800
_cell_length_c 4.8429
_cell_angle_alpha 90.00
_cell_angle_beta 90.00
_cell_angle_gamma 120.00
loop_
_atom_site_label
_atom_site_type_symbol
_atom_site_fract_x
_atom_site_fract_y
_atom_site_fract_z
Ba1 Ba 0.0426 0.3603 0.2500
C1 C 0.3333 0.6667 0.7500
N1 N 0.1807 0.5042 0.7500
```


Compound: Ba3Na2C4N8
Source: the Materials Project database
Functional: GGA-PBE
Structure: relaxed

Summary:
As for the total magnetic moment: 0.0 μB per formula unit. The value obtained for the density is 3.75 Mg/m³. As for the uncorrected energy: -7.28 eV per atom. The calculation puts the volume at 16.10 Å³ per atom.

CIF file:
```
data_Ba3Na2C4N8
_space_group_name_H-M_alt 'P 1 21/c 1'
_space_group_IT_number 14
_cell_length_a 6.419
_cell_length_b 10.137
_cell_length_c 17.962
_cell_angle_alpha 90.00
_cell_angle_beta 110.47
_cell_angle_gamma 90.00
loop_
_space_group_symop_operation_xyz
'x,y,z'
'-x,-y,-z'
'-x,y+1/2,-z+1/2'
'x,-y+1/2,z+1/2'
loop_
_atom_site_label
_atom_site_type_symbol
_atom_site_fract_x
_atom_site_fract_y
_atom_site_fract_z
Ba1 Ba 0.086 0.180 0.346
Ba2 Ba 0.268 0.691 0.507
Ba3 Ba 0.394 0.126 0.643
Na1 Na 0.113 0.022 0.169
Na2 Na 0.390 0.523 0.330
C1 C 0.000 0.000 0.500
C2 C 0.060 0.673 0.809
C3 C 0.242 0.104 0.998
C4 C 0.457 0.723 0.200
C5 C 0.500 0.000 0.500
N1 N 0.054 0.076 0.723
N2 N 0.105 0.577 0.053
N3 N 0.172 0.727 0.338
N4 N 0.228 0.122 0.064
N5 N 0.257 0.081 0.932
N6 N 0.350 0.674 0.676
N7 N 0.433 0.122 0.273
N8 N 0.436 0.116 0.488
```


Compound: Ba9Nb2CN10O
Source: the Materials Project database
Functional: GGA-PBE
Structure: relaxed

Summary:
As for the total magnetic moment: 0.0 μB per formula unit. The value obtained for the density is 5.39 Mg/m³. As for the uncorrected energy: -6.85 eV per atom. The calculation puts the volume at 21.28 Å³ per atom.

CIF file:
```
data_Ba9Nb2CN10O
_space_group_name_H-M_alt 'P -1'
_space_group_IT_number 2
_cell_length_a 8.106
_cell_length_b 9.766
_cell_length_c 12.787
_cell_angle_alpha 75.93
_cell_angle_beta 85.63
_cell_angle_gamma 87.79
loop_
_space_group_symop_operation_xyz
'x,y,z'
'-x,-y,-z'
loop_
_atom_site_label
_atom_site_type_symbol
_atom_site_fract_x
_atom_site_fract_y
_atom_site_fract_z
Ba1 Ba 0.001 0.322 0.421
Ba2 Ba 0.031 0.379 0.872
Ba3 Ba 0.038 0.070 0.726
Ba4 Ba 0.233 0.291 0.159
Ba5 Ba 0.244 0.986 0.998
Ba6 Ba 0.328 0.419 0.618
Ba7 Ba 0.464 0.761 0.619
Ba8 Ba 0.484 0.930 0.277
Ba9 Ba 0.489 0.617 0.107
Nb1 Nb 0.230 0.635 0.337
Nb2 Nb 0.231 0.703 0.880
C1 C 0.239 0.061 0.466
N1 N 0.006 0.368 0.622
N2 N 0.042 0.831 0.916
N3 N 0.197 0.076 0.372
N4 N 0.207 0.634 0.748
N5 N 0.238 0.532 0.998
N6 N 0.258 0.795 0.205
N7 N 0.286 0.055 0.557
N8 N 0.305 0.454 0.301
N9 N 0.355 0.674 0.454
N10 N 0.440 0.808 0.876
O1 O 0.283 0.201 0.821
```


Compound: BaC2N2O2
Source: the Materials Project database
Functional: GGA-PBE
Structure: relaxed

Summary:
As for the total magnetic moment: 0.0 μB per formula unit. The value obtained for the density is 3.64 Mg/m³. As for the uncorrected energy: -7.95 eV per atom. The calculation puts the volume at 14.43 Å³ per atom.

CIF file:
```
data_BaC2N2O2
_space_group_name_H-M_alt 'R -3 c'
_space_group_IT_number 167
_space_group_name_Hall '-R 3 2"c'
_cell_length_a 7.1826
_cell_length_b 7.1826
_cell_length_c 40.7030
_cell_angle_alpha 90.00
_cell_angle_beta 90.00
_cell_angle_gamma 120.00
loop_
_atom_site_label
_atom_site_type_symbol
_atom_site_fract_x
_atom_site_fract_y
_atom_site_fract_z
Ba1 Ba 0.0000 0.0000 0.1488
Ba2 Ba 0.0000 0.0000 0.2500
C1 C 0.0355 0.2003 0.4612
N1 N 0.0366 0.2089 0.5395
O1 O 0.0045 0.2712 0.7034
```


Compound: BaC2N6O4
Source: the Materials Project database
Functional: GGA-PBE
Structure: relaxed

Summary:
As for the total magnetic moment: 2.0 μB per formula unit. The value obtained for the density is 2.23 Mg/m³. As for the uncorrected energy: -7.52 eV per atom. The calculation puts the volume at 17.75 Å³ per atom.

CIF file:
```
data_BaC2N6O4
_space_group_name_H-M_alt 'C 1 2 1'
_space_group_IT_number 5
_cell_length_a 13.842
_cell_length_b 7.226
_cell_length_c 4.669
_cell_angle_alpha 90.00
_cell_angle_beta 98.89
_cell_angle_gamma 90.00
loop_
_space_group_symop_operation_xyz
'x,y,z'
'-x,y,-z'
'x+1/2,y+1/2,z'
'-x+1/2,y+1/2,-z'
loop_
_atom_site_label
_atom_site_type_symbol
_atom_site_fract_x
_atom_site_fract_y
_atom_site_fract_z
Ba1 Ba 0.000 0.000 0.000
C1 C 0.146 0.783 0.446
N1 N 0.015 0.381 0.618
N2 N 0.199 0.246 0.162
N3 N 0.235 0.215 0.399
O1 O 0.111 0.911 0.575
O2 O 0.120 0.705 0.212
```


Compound: BaC2S2N2
Source: the Materials Project database
Functional: GGA-PBE
Structure: relaxed

Summary:
As for the total magnetic moment: 0.0 μB per formula unit. The value obtained for the density is 2.62 Mg/m³. As for the uncorrected energy: -6.96 eV per atom. The calculation puts the volume at 22.92 Å³ per atom.

CIF file:
```
data_BaC2S2N2
_space_group_name_H-M_alt 'C 1 2/c 1'
_space_group_IT_number 15
_cell_length_a 10.774
_cell_length_b 6.818
_cell_length_c 8.743
_cell_angle_alpha 90.00
_cell_angle_beta 92.01
_cell_angle_gamma 90.00
loop_
_space_group_symop_operation_xyz
'x,y,z'
'-x,-y,-z'
'-x,y,-z+1/2'
'x,-y,z+1/2'
'x+1/2,y+1/2,z'
'-x+1/2,-y+1/2,-z'
'-x+1/2,y+1/2,-z+1/2'
'x+1/2,-y+1/2,z+1/2'
loop_
_atom_site_label
_atom_site_type_symbol
_atom_site_fract_x
_atom_site_fract_y
_atom_site_fract_z
Ba1 Ba 0.000 0.101 0.250
C1 C 0.122 0.358 0.605
S1 S 0.202 0.456 0.172
N1 N 0.064 0.221 0.557
```